[1]
r²SCAN In5Pt11, optimized geometry; calculated density = 17.0 Mg/m³; size of the total moment = 0.0000 μB per atom; energy relative to the elements = -0.48 eV per atom; V = 16.58 Å³/atom
1.0
4.081 0.000 0.000
0.000 5.699 -0.024
0.000 0.446 11.405
In Pt
5 11
Direct
0.500 0.756 0.374
0.500 0.714 0.861
0.500 0.286 0.139
0.500 0.244 0.626
0.000 0.000 0.000
0.000 0.015 0.248
0.000 0.985 0.752
0.000 0.500 0.000
0.000 0.500 0.500
0.000 0.518 0.253
0.000 0.482 0.747
0.500 0.251 0.380
0.500 0.226 0.882
0.500 0.774 0.118
0.500 0.749 0.620
0.000 0.000 0.500


[2]
r²SCAN InPt2, optimized geometry; calculated density = 16.7 Mg/m³; size of the total moment = 0.0000 μB per atom; energy relative to the elements = -0.49 eV per atom; V = 16.70 Å³/atom
1.0
4.109 0.000 0.000
0.000 5.703 -0.018
0.000 0.861 17.104
In Pt
8 16
Direct
0.500 0.708 0.238
0.500 0.726 0.575
0.500 0.759 0.916
0.500 0.241 0.084
0.500 0.274 0.425
0.500 0.292 0.762
0.000 0.991 0.331
0.000 0.009 0.669
0.000 0.981 0.168
0.000 0.000 0.500
0.000 0.019 0.832
0.000 0.500 0.000
0.000 0.491 0.333
0.000 0.509 0.667
0.000 0.477 0.165
0.000 0.500 0.500
0.000 0.523 0.835
0.500 0.221 0.255
0.500 0.232 0.591
0.500 0.255 0.921
0.500 0.745 0.079
0.500 0.768 0.409
0.500 0.779 0.745
0.000 0.000 0.000


[3]
r²SCAN In2Pt3, optimized geometry; calculated density = 14.3 Mg/m³; size of the total moment = 0.0000 μB per atom; energy relative to the elements = -0.58 eV per atom; V = 18.93 Å³/atom
1.0
-2.716 -4.833 -0.910
2.214 1.070 5.051
-11.876 5.930 3.949
In Pt
8 12
Direct
0.000 0.000 0.250
0.000 0.000 0.750
0.333 0.667 0.250
0.667 0.333 0.750
0.333 0.667 0.918
0.333 0.667 0.582
0.667 0.333 0.082
0.667 0.333 0.418
0.166 0.332 0.091
0.668 0.834 0.091
0.166 0.834 0.091
0.668 0.834 0.409
0.166 0.332 0.409
0.166 0.834 0.409
0.834 0.668 0.909
0.332 0.166 0.909
0.834 0.166 0.909
0.332 0.166 0.591
0.834 0.668 0.591
0.834 0.166 0.591


[4]
r²SCAN In3Pt4, optimized geometry; calculated density = 14.6 Mg/m³; size of the total moment = 0.0000 μB per atom; energy relative to the elements = -0.54 eV per atom; V = 18.27 Å³/atom
1.0
-1.112 5.631 -4.272
-0.991 -5.594 -4.364
-6.411 -0.139 6.169
In Pt
9 12
Direct
0.501 0.736 0.669
0.943 0.182 0.690
0.479 0.251 0.306
0.064 0.822 0.308
0.438 0.683 0.188
0.539 0.295 0.833
0.966 0.196 0.138
0.060 0.824 0.883
0.995 0.494 0.502
0.729 0.454 0.182
0.291 0.553 0.834
0.750 0.759 0.997
0.250 0.248 0.998
0.506 0.001 0.998
0.000 0.504 0.002
0.245 0.262 0.498
0.759 0.755 0.497
0.498 0.001 0.495
0.786 0.043 0.329
0.713 0.464 0.657
0.209 0.928 0.658


[5]
r²SCAN ScInPt, optimized geometry; calculated density = 10.1 Mg/m³; size of the total moment = 0.0000 μB per atom; energy relative to the elements = -1.02 eV per atom; V = 19.46 Å³/atom
1.0
0.550 7.392 1.682
-2.428 -4.923 5.257
3.298 -0.488 1.066
Sc In Pt
3 3 3
Direct
0.602 0.000 0.000
0.398 0.398 0.000
0.000 0.602 0.000
0.726 0.726 0.500
0.000 0.274 0.500
0.274 0.000 0.500
0.667 0.333 0.500
0.000 0.000 0.000
0.333 0.667 0.500


[6]
r²SCAN SrIn2Pt, optimized geometry; calculated density = 8.6 Mg/m³; size of the total moment = 0.0000 μB per atom; energy relative to the elements = -0.79 eV per atom; V = 24.64 Å³/atom
1.0
-1.223 3.301 2.814
-3.392 -4.834 0.587
5.003 -2.842 5.508
Sr In Pt
2 4 2
Direct
0.062 0.123 0.750
0.938 0.877 0.250
0.347 0.695 0.946
0.347 0.695 0.554
0.653 0.305 0.054
0.653 0.305 0.446
0.780 0.561 0.750
0.220 0.439 0.250


[7]
r²SCAN Sr2InPt2, optimized geometry; calculated density = 8.9 Mg/m³; size of the total moment = 0.0000 μB per atom; energy relative to the elements = -0.91 eV per atom; V = 25.26 Å³/atom
1.0
5.868 0.007 1.182
2.775 5.171 1.182
0.017 0.010 8.336
Sr In Pt
4 2 4
Direct
0.495 0.210 0.647
0.790 0.505 0.853
0.505 0.790 0.353
0.210 0.495 0.147
0.133 0.867 0.750
0.867 0.133 0.250
0.724 0.001 0.002
0.999 0.276 0.498
0.276 0.999 0.998
0.001 0.724 0.502


[8]
r²SCAN TbInPt2, optimized geometry; calculated density = 13.6 Mg/m³; size of the total moment = 0.0000 μB per atom; energy relative to the elements = -1.09 eV per atom; V = 20.27 Å³/atom
1.0
2.276 -3.942 0.000
2.276 3.942 0.000
0.000 0.000 9.036
Tb In Pt
2 2 4
Direct
0.333 0.667 0.250
0.667 0.333 0.750
0.000 0.000 0.500
0.000 0.000 0.000
0.333 0.667 0.909
0.667 0.333 0.091
0.667 0.333 0.409
0.333 0.667 0.591


[9]
r²SCAN TbInPt4, optimized geometry; calculated density = 16.0 Mg/m³; size of the total moment = 0.0000 μB per atom; energy relative to the elements = -0.90 eV per atom; V = 18.26 Å³/atom
1.0
-3.798 -3.798 0.000
-3.798 0.000 -3.798
0.000 -3.798 -3.798
Tb In Pt
1 1 4
Direct
0.750 0.750 0.750
0.000 0.000 0.000
0.375 0.375 0.375
0.876 0.375 0.375
0.375 0.876 0.375
0.375 0.375 0.876


[10]
r²SCAN Tb5In4Pt2, optimized geometry; calculated density = 10.1 Mg/m³; size of the total moment = 0.0010 μB per atom; energy relative to the elements = -0.96 eV per atom; V = 24.45 Å³/atom
1.0
0.000 0.000 3.648
8.089 0.000 0.000
0.000 18.229 0.000
Tb In Pt
10 8 4
Direct
0.000 0.116 0.416
0.000 0.884 0.584
0.000 0.384 0.916
0.000 0.616 0.084
0.000 0.243 0.220
0.000 0.757 0.780
0.000 0.257 0.720
0.000 0.743 0.280
0.000 0.000 0.000
0.000 0.500 0.500
0.500 0.425 0.351
0.500 0.575 0.649
0.500 0.075 0.851
0.500 0.925 0.149
0.500 0.290 0.068
0.500 0.710 0.932
0.500 0.210 0.568
0.500 0.790 0.432
0.500 0.026 0.304
0.500 0.974 0.696
0.500 0.474 0.804
0.500 0.526 0.196


[11]
r²SCAN TmInPt2, optimized geometry; calculated density = 14.9 Mg/m³; size of the total moment = 0.0000 μB per atom; energy relative to the elements = -1.05 eV per atom; V = 18.80 Å³/atom
1.0
0.000 3.350 3.350
3.350 0.000 3.350
3.350 3.350 0.000
Tm In Pt
1 1 2
Direct
0.000 0.000 0.000
0.500 0.500 0.500
0.250 0.250 0.250
0.750 0.750 0.750